i) First-principles (PBE+U) data for crystalline Ca8Mn7CrO24 at its relaxed geometry, as listed in the Materials Project.

Cell: 10.815 15.139 10.670 Å, 90.00 90.02 90.00°
Element x y z (fractional)
1 Ca 0.022 0.125 0.496
2 Ca 0.021 0.125 0.996
3 Ca 0.022 0.625 0.495
4 Ca 0.022 0.625 0.996
5 Ca 0.523 0.125 0.496
6 Ca 0.523 0.125 0.995
7 Ca 0.522 0.625 0.496
8 Ca 0.522 0.625 0.996
9 Ca 0.478 0.375 0.004
10 Ca 0.478 0.375 0.505
11 Ca 0.478 0.875 0.004
12 Ca 0.478 0.875 0.505
13 Ca 0.978 0.375 0.004
14 Ca 0.978 0.375 0.505
15 Ca 0.978 0.875 0.004
16 Ca 0.978 0.875 0.505
17 Ca 0.228 0.375 0.246
18 Ca 0.228 0.375 0.745
19 Ca 0.228 0.875 0.246
20 Ca 0.228 0.875 0.745
21 Ca 0.727 0.375 0.246
22 Ca 0.728 0.375 0.746
23 Ca 0.727 0.875 0.246
24 Ca 0.728 0.875 0.745
25 Ca 0.273 0.125 0.255
26 Ca 0.272 0.125 0.754
27 Ca 0.272 0.625 0.254
28 Ca 0.272 0.625 0.754
29 Ca 0.771 0.125 0.255
30 Ca 0.772 0.125 0.754
31 Ca 0.772 0.625 0.254
32 Ca 0.772 0.625 0.754
33 Mn 0.000 0.000 0.750
34 Mn 0.000 0.500 0.250
35 Mn 0.000 0.500 0.750
36 Mn 0.500 0.000 0.250
37 Mn 0.500 0.000 0.750
38 Mn 0.500 0.500 0.250
39 Mn 0.500 0.500 0.750
40 Mn 0.250 0.000 0.500
41 Mn 0.250 0.500 0.000
42 Mn 0.250 0.500 0.500
43 Mn 0.750 0.000 0.000
44 Mn 0.750 0.000 0.500
45 Mn 0.750 0.500 0.000
46 Mn 0.750 0.500 0.500
47 Mn 0.250 0.250 0.500
48 Mn 0.250 0.750 0.000
49 Mn 0.250 0.750 0.500
50 Mn 0.750 0.250 0.000
51 Mn 0.750 0.250 0.500
52 Mn 0.750 0.750 0.000
53 Mn 0.750 0.750 0.500
54 Mn 0.000 0.250 0.750
55 Mn 0.000 0.750 0.250
56 Mn 0.000 0.750 0.750
57 Mn 0.500 0.250 0.250
58 Mn 0.500 0.250 0.750
59 Mn 0.500 0.750 0.250
60 Mn 0.500 0.750 0.750
61 Cr 0.999 0.000 0.249
62 Cr 0.250 0.000 0.000
63 Cr 0.250 0.250 0.000
64 Cr 0.999 0.250 0.249
65 O 0.104 0.270 0.104
66 O 0.104 0.270 0.603
67 O 0.104 0.771 0.103
68 O 0.104 0.770 0.603
69 O 0.604 0.270 0.103
70 O 0.604 0.270 0.603
71 O 0.604 0.770 0.103
72 O 0.604 0.770 0.603
73 O 0.396 0.230 0.397
74 O 0.397 0.230 0.897
75 O 0.396 0.730 0.397
76 O 0.396 0.730 0.897
77 O 0.895 0.230 0.396
78 O 0.896 0.230 0.897
79 O 0.896 0.730 0.397
80 O 0.896 0.730 0.897
81 O 0.147 0.230 0.353
82 O 0.145 0.230 0.854
83 O 0.146 0.730 0.353
84 O 0.146 0.730 0.853
85 O 0.646 0.230 0.353
86 O 0.646 0.230 0.853
87 O 0.646 0.730 0.353
88 O 0.646 0.730 0.853
89 O 0.354 0.270 0.146
90 O 0.354 0.270 0.647
91 O 0.354 0.770 0.147
92 O 0.354 0.770 0.647
93 O 0.853 0.270 0.147
94 O 0.854 0.270 0.647
95 O 0.854 0.770 0.147
96 O 0.854 0.770 0.647
97 O 0.354 0.480 0.147
98 O 0.354 0.480 0.647
99 O 0.354 0.980 0.146
100 O 0.354 0.980 0.647
101 O 0.854 0.480 0.147
102 O 0.854 0.480 0.647
103 O 0.853 0.980 0.147
104 O 0.854 0.980 0.647
105 O 0.147 0.020 0.353
106 O 0.145 0.020 0.854
107 O 0.146 0.520 0.353
108 O 0.146 0.520 0.853
109 O 0.646 0.020 0.353
110 O 0.646 0.020 0.853
111 O 0.646 0.520 0.353
112 O 0.646 0.520 0.853
113 O 0.396 0.020 0.397
114 O 0.397 0.020 0.897
115 O 0.396 0.520 0.397
116 O 0.396 0.520 0.897
117 O 0.895 0.020 0.396
118 O 0.896 0.020 0.897
119 O 0.896 0.520 0.397
120 O 0.896 0.520 0.897
121 O 0.104 0.479 0.103
122 O 0.104 0.480 0.603
123 O 0.104 0.980 0.104
124 O 0.104 0.980 0.603
125 O 0.604 0.480 0.103
126 O 0.604 0.480 0.603
127 O 0.604 0.980 0.103
128 O 0.604 0.980 0.603
129 O 0.010 0.375 0.289
130 O 0.010 0.375 0.789
131 O 0.010 0.875 0.289
132 O 0.010 0.875 0.789
133 O 0.510 0.375 0.289
134 O 0.509 0.375 0.789
135 O 0.510 0.875 0.289
136 O 0.509 0.875 0.789
137 O 0.490 0.125 0.211
138 O 0.490 0.125 0.711
139 O 0.490 0.625 0.211
140 O 0.490 0.625 0.711
141 O 0.991 0.125 0.212
142 O 0.990 0.125 0.711
143 O 0.991 0.625 0.211
144 O 0.990 0.625 0.711
145 O 0.240 0.125 0.038
146 O 0.240 0.125 0.539
147 O 0.241 0.625 0.039
148 O 0.240 0.625 0.539
149 O 0.741 0.125 0.039
150 O 0.740 0.125 0.539
151 O 0.740 0.625 0.039
152 O 0.740 0.625 0.539
153 O 0.259 0.375 0.461
154 O 0.260 0.375 0.961
155 O 0.259 0.875 0.461
156 O 0.260 0.875 0.961
157 O 0.760 0.375 0.461
158 O 0.760 0.375 0.961
159 O 0.760 0.875 0.461
160 O 0.760 0.875 0.961

Output
Size of the total moment, μB per atom: 0.58

=====

ii) First-principles (PBE+U) data for crystalline Ca8Mn7CrO24 at its relaxed geometry, as listed in the Materials Project.

Cell: 7.611 7.611 7.611 Å, 90.00 90.00 90.00°
Element x y z (fractional)
1 Ca 0.251 0.251 0.251
2 Ca 0.251 0.251 0.749
3 Ca 0.251 0.749 0.251
4 Ca 0.251 0.749 0.749
5 Ca 0.749 0.251 0.251
6 Ca 0.749 0.251 0.749
7 Ca 0.749 0.749 0.251
8 Ca 0.749 0.749 0.749
9 Mn 0.000 0.000 0.500
10 Mn 0.000 0.500 0.000
11 Mn 0.000 0.500 0.500
12 Mn 0.500 0.000 0.000
13 Mn 0.500 0.000 0.500
14 Mn 0.500 0.500 0.000
15 Mn 0.500 0.500 0.500
16 Cr 0.000 0.000 0.000
17 O 0.000 0.000 0.251
18 O 0.000 0.000 0.749
19 O 0.000 0.500 0.250
20 O 0.000 0.500 0.750
21 O 0.500 0.000 0.250
22 O 0.500 0.000 0.750
23 O 0.500 0.500 0.250
24 O 0.500 0.500 0.750
25 O 0.251 0.000 0.000
26 O 0.250 0.000 0.500
27 O 0.250 0.500 0.000
28 O 0.250 0.500 0.500
29 O 0.749 0.000 0.000
30 O 0.750 0.000 0.500
31 O 0.750 0.500 0.000
32 O 0.750 0.500 0.500
33 O 0.000 0.251 0.000
34 O 0.000 0.250 0.500
35 O 0.000 0.749 0.000
36 O 0.000 0.750 0.500
37 O 0.500 0.250 0.000
38 O 0.500 0.250 0.500
39 O 0.500 0.750 0.000
40 O 0.500 0.750 0.500

Output
Size of the total moment, μB per atom: 0.58

=====

Which is most stable? The ranking, best first, is i), ii).